Record 1
Material: KGdV4O12
Method: DFT, PBE with a Hubbard U
State: optimized geometry

Results
ΔE_f: -246.6 kJ/mol of atoms
E_tot: -7.88 eV/atom
symmetry: Amm2

Geometry as POSCAR:
```
KGdV4O12
1.0
7.2615 0.0000 0.0000
0.0000 3.5160 5.0382
0.0000 -3.5160 5.0382
K Gd V O
1 1 4 12
Direct
0.0000 0.0000 0.0000 K
0.5000 0.4713 0.4713 Gd
0.2536 0.5019 0.9964 V
0.2536 0.9964 0.5019 V
0.7464 0.5019 0.9964 V
0.7464 0.9964 0.5019 V
0.0000 0.5215 0.9963 O
0.0000 0.9963 0.5215 O
0.2373 0.3184 0.3184 O
0.2665 0.8055 0.8055 O
0.2933 0.3458 0.8263 O
0.2933 0.8263 0.3458 O
0.5000 0.0860 0.5430 O
0.5000 0.5430 0.0860 O
0.7067 0.3458 0.8263 O
0.7067 0.8263 0.3458 O
0.7335 0.8055 0.8055 O
0.7627 0.3184 0.3184 O
```

=====

Record 2
Material: Li3Ti2V3O12
Method: DFT, PBE with a Hubbard U
State: optimized geometry

Results
ΔE_f: -261.3 kJ/mol of atoms
E_tot: -7.45 eV/atom
symmetry: P2_1/c

Geometry as POSCAR:
```
Li3Ti2V3O12
1.0
8.7952 0.0000 0.0000
0.0000 9.2789 0.0000
-8.5698 0.0000 12.6084
Li Ti V O
12 8 12 48
Direct
0.9997 0.2263 0.1841 Li
0.9997 0.2737 0.6841 Li
0.0003 0.7263 0.3159 Li
0.0003 0.7737 0.8159 Li
0.2799 0.0150 0.8481 Li
0.2799 0.4850 0.3481 Li
0.3669 0.0871 0.2979 Li
0.3669 0.4129 0.7979 Li
0.6331 0.5871 0.2021 Li
0.6331 0.9129 0.7021 Li
0.7201 0.5150 0.6519 Li
0.7201 0.9850 0.1519 Li
0.1308 0.0249 0.3888 Ti
0.1308 0.4751 0.8888 Ti
0.3687 0.0199 0.1134 Ti
0.3687 0.4801 0.6134 Ti
0.6313 0.5199 0.3866 Ti
0.6313 0.9801 0.8866 Ti
0.8692 0.5249 0.1112 Ti
0.8692 0.9751 0.6112 Ti
0.0263 0.6147 0.6393 V
0.0263 0.8853 0.1393 V
0.2687 0.1215 0.6520 V
0.2687 0.3785 0.1520 V
0.4624 0.7436 0.9905 V
0.4624 0.7564 0.4905 V
0.5376 0.2436 0.5095 V
0.5376 0.2564 0.0095 V
0.7313 0.6215 0.8480 V
0.7313 0.8785 0.3480 V
0.9737 0.1147 0.8607 V
0.9737 0.3853 0.3607 V
0.0117 0.7163 0.1855 O
0.0117 0.7837 0.6855 O
0.1084 0.0147 0.2393 O
0.1084 0.4853 0.7393 O
0.1183 0.0744 0.6957 O
0.1183 0.4256 0.1957 O
0.1642 0.0737 0.5135 O
0.1642 0.4263 0.0135 O
0.1662 0.6068 0.5933 O
0.1662 0.8932 0.0933 O
0.2005 0.0567 0.9538 O
0.2005 0.4433 0.4538 O
0.2318 0.6624 0.9213 O
0.2318 0.8376 0.4213 O
0.2725 0.1858 0.1546 O
0.2725 0.3142 0.6546 O
0.3673 0.1135 0.4256 O
0.3673 0.3865 0.9256 O
0.4558 0.6503 0.3895 O
0.4558 0.8497 0.8895 O
0.4773 0.0168 0.7339 O
0.4773 0.4832 0.2339 O
0.4899 0.6320 0.5926 O
0.4899 0.8680 0.0926 O
0.5101 0.1320 0.9074 O
0.5101 0.3680 0.4074 O
0.5227 0.5168 0.7661 O
0.5227 0.9832 0.2661 O
0.5442 0.1503 0.1105 O
0.5442 0.3497 0.6105 O
0.6327 0.6135 0.0744 O
0.6327 0.8865 0.5744 O
0.7275 0.6858 0.3454 O
0.7275 0.8142 0.8454 O
0.7682 0.1624 0.5787 O
0.7682 0.3376 0.0787 O
0.7995 0.5567 0.5462 O
0.7995 0.9433 0.0462 O
0.8338 0.1068 0.9067 O
0.8338 0.3932 0.4067 O
0.8358 0.5737 0.9865 O
0.8358 0.9263 0.4865 O
0.8817 0.5744 0.8043 O
0.8817 0.9256 0.3043 O
0.8916 0.5147 0.2607 O
0.8916 0.9853 0.7607 O
0.9883 0.2163 0.3145 O
0.9883 0.2837 0.8145 O
```

=====

Record 3
Material: Mn2O3F
Method: DFT, PBE with a Hubbard U
State: optimized geometry

Results
ΔE_f: -196.6 kJ/mol of atoms
energy above the most stable polymorph in this dataset: 0.31 kJ per mole of atoms
E_tot: -6.91 eV/atom
symmetry: Amm2

Geometry as POSCAR:
```
Mn2O3F
1.0
15.1689 0.0000 0.0000
0.0000 3.1663 3.3287
0.0000 -3.1663 3.3287
Mn O F
10 15 5
Direct
0.0000 0.0000 0.0000 Mn
0.0997 0.5244 0.5244 Mn
0.1995 0.0428 0.0428 Mn
0.2990 0.5088 0.5088 Mn
0.3998 0.0362 0.0362 Mn
0.5000 0.5037 0.5037 Mn
0.6002 0.0362 0.0362 Mn
0.7010 0.5088 0.5088 Mn
0.8005 0.0428 0.0428 Mn
0.9003 0.5244 0.5244 Mn
0.0000 0.7116 0.7116 O
0.1000 0.2104 0.8280 O
0.1000 0.8280 0.2104 O
0.1992 0.3322 0.3322 O
0.2993 0.2247 0.8362 O
0.2993 0.8362 0.2247 O
0.4002 0.3268 0.3268 O
0.5000 0.2183 0.8309 O
0.5000 0.8309 0.2183 O
0.5998 0.3268 0.3268 O
0.7007 0.2247 0.8362 O
0.7007 0.8362 0.2247 O
0.8008 0.3322 0.3322 O
0.9000 0.2104 0.8280 O
0.9000 0.8280 0.2104 O
0.0000 0.3016 0.3016 F
0.2047 0.7348 0.7348 F
0.3995 0.7166 0.7166 F
0.6005 0.7166 0.7166 F
0.7953 0.7348 0.7348 F
```

=====

Record 4
Material: Li9Mn2Co5O16
Method: DFT, PBE with a Hubbard U
State: optimized geometry

Results
ΔE_f: -168.7 kJ/mol of atoms
energy above the most stable polymorph in this dataset: 11.16 kJ per mole of atoms
E_tot: -5.74 eV/atom
symmetry: P1

Geometry as POSCAR:
```
Li9Mn2Co5O16
1.0
5.9157 0.0000 0.0000
1.6462 6.2424 0.0000
1.9064 -0.3545 7.6458
Li Mn Co O
9 2 5 16
Direct
0.0000 0.0000 0.0000 Li
0.0029 0.4877 0.4985 Li
0.1281 0.8689 0.6239 Li
0.2469 0.7370 0.2600 Li
0.3708 0.6162 0.8721 Li
0.4909 0.4877 0.4955 Li
0.6216 0.3624 0.1303 Li
0.7549 0.2442 0.7426 Li
0.8772 0.1246 0.3792 Li
0.7474 0.7435 0.2548 Mn
0.8762 0.6176 0.8715 Mn
0.1287 0.3693 0.1320 Co
0.2429 0.2418 0.7442 Co
0.3695 0.1223 0.3765 Co
0.4971 0.9952 0.0015 Co
0.6234 0.8697 0.6265 Co
0.0403 0.6698 0.0612 O
0.0823 0.1737 0.5527 O
0.1775 0.5483 0.7030 O
0.1966 0.0642 0.1720 O
0.3126 0.4126 0.3135 O
0.3280 0.9410 0.8043 O
0.4185 0.2930 0.9518 O
0.4471 0.8110 0.4270 O
0.5500 0.1704 0.5776 O
0.5821 0.6957 0.0670 O
0.6722 0.0432 0.1982 O
0.6995 0.5803 0.7054 O
0.8049 0.9208 0.8272 O
0.8219 0.4416 0.2953 O
0.9019 0.8031 0.4283 O
0.9425 0.3185 0.9210 O
```

=====

Record 5
Material: YCrO3
Method: DFT, PBE with a Hubbard U
State: optimized geometry

Results
ΔE_f: -288.1 kJ/mol of atoms
E_tot: -8.37 eV/atom
symmetry: P6_3/mmc

Geometry as POSCAR:
```
YCrO3
1.0
3.5243 0.0000 0.0000
-1.7621 3.0521 0.0000
0.0000 0.0000 12.0664
Y Cr O
2 2 6
Direct
0.0000 0.0000 0.0000 Y
0.0000 0.0000 0.5000 Y
0.3333 0.6667 0.2500 Cr
0.6667 0.3333 0.7500 Cr
0.0000 0.0000 0.2500 O
0.0000 0.0000 0.7500 O
0.3333 0.6667 0.0866 O
0.3333 0.6667 0.4134 O
0.6667 0.3333 0.5866 O
0.6667 0.3333 0.9134 O
```